No. 1
# Ba2TbZrO6 (GGA-PBE, relaxed)
# **M_tot**: 1.00 μB/cell
data_Ba2TbZrO6
_chemical_formula_sum 'Ba2 Tb1 Zr1 O6'
_cell_length_a 6.171
_cell_length_b 6.171
_cell_length_c 6.171
_cell_angle_alpha 60.00
_cell_angle_beta 60.00
_cell_angle_gamma 60.00
_space_group_name_H-M_alt 'P 1'
_space_group_IT_number 1
loop_
_space_group_symop_operation_xyz
'x,y,z'
loop_
_atom_site_label
_atom_site_type_symbol
_atom_site_fract_x
_atom_site_fract_y
_atom_site_fract_z
Ba1 Ba 0.250 0.250 0.250
Ba2 Ba 0.750 0.750 0.750
Tb1 Tb 0.000 0.000 0.000
Zr1 Zr 0.500 0.500 0.500
O1 O 0.258 0.258 0.742
O2 O 0.258 0.742 0.258
O3 O 0.258 0.742 0.742
O4 O 0.742 0.258 0.258
O5 O 0.742 0.258 0.742
O6 O 0.742 0.742 0.258

***

No. 2
# Na2InAgF6 (GGA-PBE, relaxed)
# **M_tot**: 0.00 μB/cell
data_Na2InAgF6
_chemical_formula_sum 'Na2 In1 Ag1 F6'
_cell_length_a 6.317
_cell_length_b 6.317
_cell_length_c 6.317
_cell_angle_alpha 60.00
_cell_angle_beta 60.00
_cell_angle_gamma 60.00
_space_group_name_H-M_alt 'P 1'
_space_group_IT_number 1
loop_
_space_group_symop_operation_xyz
'x,y,z'
loop_
_atom_site_label
_atom_site_type_symbol
_atom_site_fract_x
_atom_site_fract_y
_atom_site_fract_z
Na1 Na 0.250 0.250 0.250
Na2 Na 0.750 0.750 0.750
In1 In 0.000 0.000 0.000
Ag1 Ag 0.500 0.500 0.500
F1 F 0.234 0.234 0.766
F2 F 0.234 0.766 0.234
F3 F 0.234 0.766 0.766
F4 F 0.766 0.234 0.234
F5 F 0.766 0.234 0.766
F6 F 0.766 0.766 0.234

***

No. 3
# Ni2GeP (GGA-PBE, relaxed)
# **M_tot**: 0.23 μB/cell
data_Ni2GeP
_chemical_formula_sum 'Ni16 Ge8 P8'
_cell_length_a 5.010
_cell_length_b 14.077
_cell_length_c 6.005
_cell_angle_alpha 90.00
_cell_angle_beta 90.00
_cell_angle_gamma 90.00
_space_group_name_H-M_alt 'P 1'
_space_group_IT_number 1
loop_
_space_group_symop_operation_xyz
'x,y,z'
loop_
_atom_site_label
_atom_site_type_symbol
_atom_site_fract_x
_atom_site_fract_y
_atom_site_fract_z
Ni1 Ni 0.007 0.191 0.218
Ni2 Ni 0.007 0.309 0.718
Ni3 Ni 0.009 0.574 0.708
Ni4 Ni 0.009 0.926 0.208
Ni5 Ni 0.491 0.074 0.708
Ni6 Ni 0.491 0.426 0.208
Ni7 Ni 0.493 0.691 0.218
Ni8 Ni 0.493 0.809 0.718
Ni9 Ni 0.507 0.191 0.282
Ni10 Ni 0.507 0.309 0.782
Ni11 Ni 0.509 0.574 0.792
Ni12 Ni 0.509 0.926 0.292
Ni13 Ni 0.991 0.074 0.792
Ni14 Ni 0.991 0.426 0.292
Ni15 Ni 0.993 0.691 0.282
Ni16 Ni 0.993 0.809 0.782
Ge1 Ge 0.202 0.560 0.093
Ge2 Ge 0.202 0.940 0.593
Ge3 Ge 0.298 0.060 0.093
Ge4 Ge 0.298 0.440 0.593
Ge5 Ge 0.702 0.560 0.407
Ge6 Ge 0.702 0.940 0.907
Ge7 Ge 0.798 0.060 0.407
Ge8 Ge 0.798 0.440 0.907
P1 P 0.208 0.184 0.567
P2 P 0.208 0.316 0.067
P3 P 0.292 0.684 0.567
P4 P 0.292 0.816 0.067
P5 P 0.708 0.184 0.933
P6 P 0.708 0.316 0.433
P7 P 0.792 0.684 0.933
P8 P 0.792 0.816 0.433

***

No. 4
Density functional theory data (GGA-PBE) for a relaxed structure of Cs2PdI6.

CIF file:
```
data_Cs2PdI6
_chemical_formula_sum 'Cs2 Pd1 I6'
_cell_length_a 8.318
_cell_length_b 8.318
_cell_length_c 8.318
_cell_angle_alpha 60.00
_cell_angle_beta 60.00
_cell_angle_gamma 60.00
_space_group_name_H-M_alt 'P 1'
_space_group_IT_number 1
loop_
_space_group_symop_operation_xyz
'x,y,z'
loop_
_atom_site_label
_atom_site_type_symbol
_atom_site_fract_x
_atom_site_fract_y
_atom_site_fract_z
Cs1 Cs 0.250 0.250 0.250
Cs2 Cs 0.750 0.750 0.750
Pd1 Pd 0.000 0.000 0.000
I1 I 0.232 0.232 0.768
I2 I 0.232 0.768 0.232
I3 I 0.232 0.768 0.768
I4 I 0.768 0.232 0.232
I5 I 0.768 0.232 0.768
I6 I 0.768 0.768 0.232
```

***

No. 5
# Sr4CaYGa2Cu4O14 (GGA-PBE, relaxed)
# **M_tot**: 0.47 μB/cell
# **Relative energy among the computed polymorphs**: 0 meV/atom
data_Sr4CaYGa2Cu4O14
_chemical_formula_sum 'Sr4 Ca1 Y1 Ga2 Cu4 O14'
_cell_length_a 12.239
_cell_length_b 12.239
_cell_length_c 5.502
_cell_angle_alpha 102.93
_cell_angle_beta 102.93
_cell_angle_gamma 25.47
_space_group_name_H-M_alt 'P 1'
_space_group_IT_number 1
loop_
_space_group_symop_operation_xyz
'x,y,z'
loop_
_atom_site_label
_atom_site_type_symbol
_atom_site_fract_x
_atom_site_fract_y
_atom_site_fract_z
Sr1 Sr 0.150 0.150 0.136
Sr2 Sr 0.349 0.348 0.334
Sr3 Sr 0.652 0.651 0.666
Sr4 Sr 0.850 0.850 0.864
Ca1 Ca 0.998 0.002 0.000
Y1 Y 0.498 0.502 0.500
Ga1 Ga 0.294 0.206 0.682
Ga2 Ga 0.794 0.706 0.318
Cu1 Cu 0.071 0.076 0.573
Cu2 Cu 0.425 0.429 0.926
Cu3 Cu 0.571 0.575 0.074
Cu4 Cu 0.924 0.929 0.427
O1 O 0.146 0.353 0.365
O2 O 0.158 0.194 0.720
O3 O 0.186 0.680 0.677
O4 O 0.190 0.684 0.193
O5 O 0.305 0.342 0.867
O6 O 0.316 0.810 0.807
O7 O 0.320 0.814 0.323
O8 O 0.647 0.854 0.635
O9 O 0.658 0.695 0.133
O10 O 0.676 0.190 0.678
O11 O 0.681 0.193 0.191
O12 O 0.806 0.842 0.280
O13 O 0.807 0.319 0.809
O14 O 0.810 0.324 0.322

***

No. 6
# CsHfCu3Se4 (GGA-PBE, relaxed)
# **M_tot**: 0.00 μB/cell
data_CsHfCu3Se4
_chemical_formula_sum 'Cs1 Hf1 Cu3 Se4'
_cell_length_a 6.422
_cell_length_b 6.422
_cell_length_c 6.422
_cell_angle_alpha 90.00
_cell_angle_beta 90.00
_cell_angle_gamma 90.00
_space_group_name_H-M_alt 'P 1'
_space_group_IT_number 1
loop_
_space_group_symop_operation_xyz
'x,y,z'
loop_
_atom_site_label
_atom_site_type_symbol
_atom_site_fract_x
_atom_site_fract_y
_atom_site_fract_z
Cs1 Cs 0.000 0.000 0.000
Hf1 Hf 0.500 0.500 0.500
Cu1 Cu 0.000 0.500 0.500
Cu2 Cu 0.500 0.000 0.500
Cu3 Cu 0.500 0.500 0.000
Se1 Se 0.279 0.279 0.721
Se2 Se 0.279 0.721 0.279
Se3 Se 0.721 0.279 0.279
Se4 Se 0.721 0.721 0.721

***

Energy values, unit eV/atom, following the record order: -7.635, -4.114, -5.760, -2.581, -6.137, -4.680.